Record 1
# SiSbO4 | the Materials Project database | PBE | relaxed
data_SiSbO4
_chemical_formula_sum 'Si12 Sb12 O48'
_space_group_name_H-M_alt 'P 1'
_space_group_IT_number 1
_space_group_name_Hall 'P 1'
_cell_length_a 10.333
_cell_length_b 10.333
_cell_length_c 10.333
_cell_angle_alpha 109.47
_cell_angle_beta 109.47
_cell_angle_gamma 109.47
loop_
_atom_site_label
_atom_site_fract_x
_atom_site_fract_y
_atom_site_fract_z
Sb1 0.250 0.875 0.625
Sb2 0.625 0.250 0.875
Sb3 0.875 0.625 0.250
Sb4 0.375 0.125 0.250
Sb5 0.875 0.750 0.625
Sb6 0.750 0.125 0.375
Sb7 0.625 0.875 0.750
Sb8 0.125 0.375 0.750
Sb9 0.375 0.750 0.125
Sb10 0.125 0.250 0.375
Sb11 0.250 0.375 0.125
Sb12 0.750 0.625 0.875
O1 0.027 0.302 0.897
O2 0.405 0.103 0.630
O3 0.370 0.276 0.473
O4 0.897 0.027 0.302
O5 0.724 0.698 0.095
O6 0.595 0.198 0.224
O7 0.370 0.595 0.897
O8 0.405 0.802 0.776
O9 0.802 0.527 0.397
O10 0.224 0.595 0.198
O11 0.630 0.724 0.527
O12 0.095 0.724 0.698
O13 0.630 0.405 0.103
O14 0.027 0.224 0.130
O15 0.698 0.095 0.724
O16 0.776 0.405 0.802
O17 0.527 0.630 0.724
O18 0.603 0.905 0.130
O19 0.130 0.603 0.905
O20 0.776 0.870 0.973
O21 0.397 0.802 0.527
O22 0.973 0.698 0.103
O23 0.198 0.224 0.595
O24 0.802 0.776 0.405
O25 0.724 0.527 0.630
O26 0.973 0.776 0.870
O27 0.302 0.897 0.027
O28 0.130 0.027 0.224
O29 0.198 0.473 0.603
O30 0.603 0.198 0.473
O31 0.276 0.473 0.370
O32 0.397 0.095 0.870
O33 0.905 0.276 0.302
O34 0.103 0.630 0.405
O35 0.095 0.870 0.397
O36 0.224 0.130 0.027
O37 0.473 0.603 0.198
O38 0.527 0.397 0.802
O39 0.302 0.905 0.276
O40 0.276 0.302 0.905
O41 0.698 0.103 0.973
O42 0.473 0.370 0.276
O43 0.595 0.897 0.370
O44 0.870 0.973 0.776
O45 0.897 0.370 0.595
O46 0.103 0.973 0.698
O47 0.870 0.397 0.095
O48 0.905 0.130 0.603
Si1 0.375 0.625 0.750
Si2 0.125 0.750 0.875
Si3 0.750 0.875 0.125
Si4 0.250 0.625 0.375
Si5 0.625 0.375 0.250
Si6 0.875 0.250 0.125
Si7 0.250 0.125 0.875
Si8 0.125 0.875 0.250
Si9 0.875 0.125 0.750
Si10 0.625 0.750 0.375
Si11 0.750 0.375 0.625
Si12 0.375 0.250 0.625
# **E_tot**: -6.54 eV per atom
# **ΔE_f**: -12.67 eV per formula unit
# **Spin magnetization**: 0.0639 μB per atom

***

Record 2
# Si2Sn13Sb2O28 | the Materials Project database | PBE | relaxed
data_Si2Sn13Sb2O28
_chemical_formula_sum 'Si2 Sn13 Sb2 O28'
_space_group_name_H-M_alt 'P 1'
_space_group_IT_number 1
_space_group_name_Hall 'P 1'
_cell_length_a 6.845
_cell_length_b 9.811
_cell_length_c 11.459
_cell_angle_alpha 86.72
_cell_angle_beta 78.71
_cell_angle_gamma 76.21
loop_
_atom_site_label
_atom_site_fract_x
_atom_site_fract_y
_atom_site_fract_z
O1 0.719 0.104 0.177
O2 0.127 0.899 0.184
O3 0.223 0.349 0.140
O4 0.387 0.127 0.992
O5 0.413 0.687 0.329
O6 0.964 0.865 0.678
O7 0.961 0.874 0.433
O8 0.009 0.427 0.679
O9 0.984 0.249 0.028
O10 0.732 0.705 0.604
O11 0.036 0.135 0.322
O12 0.751 0.409 0.279
O13 0.729 0.845 0.251
O14 0.737 0.611 0.095
O15 0.618 0.063 0.430
O16 0.587 0.313 0.671
O17 0.777 0.651 0.860
O18 0.016 0.751 0.972
O19 0.613 0.873 0.008
O20 0.873 0.101 0.816
O21 0.268 0.295 0.396
O22 0.382 0.937 0.570
O23 0.263 0.389 0.905
O24 0.991 0.573 0.321
O25 0.281 0.896 0.823
O26 0.249 0.591 0.721
O27 0.271 0.155 0.749
O28 0.039 0.126 0.567
Si1 0.790 0.719 0.985
Si2 0.210 0.281 0.015
Sn1 0.477 0.980 0.173
Sn2 0.289 0.367 0.725
Sn3 0.711 0.633 0.275
Sn4 0.291 0.089 0.432
Sn5 0.669 0.337 0.122
Sn6 0.331 0.663 0.878
Sn7 0.523 0.020 0.827
Sn8 0.000 0.000 0.000
Sn9 0.709 0.911 0.568
Sn10 0.238 0.666 0.204
Sn11 0.762 0.334 0.796
Sn12 0.047 0.350 0.303
Sn13 0.953 0.650 0.697
Sb1 0.125 0.007 0.699
Sb2 0.875 0.993 0.301
# **E_tot**: -6.12 eV per atom
# **ΔE_f**: -84.73 eV per formula unit
# **Spin magnetization**: 0.0000 μB per atom

***

Record 3
# Y4Ti13Si2Sb2O28 | the Materials Project database | PBE | relaxed
data_Y4Ti13Si2Sb2O28
_chemical_formula_sum 'Y4 Ti13 Si2 Sb2 O28'
_space_group_name_H-M_alt 'P 1'
_space_group_IT_number 1
_space_group_name_Hall 'P 1'
_cell_length_a 12.333
_cell_length_b 12.333
_cell_length_c 9.265
_cell_angle_alpha 85.78
_cell_angle_beta 85.78
_cell_angle_gamma 152.38
loop_
_atom_site_label
_atom_site_fract_x
_atom_site_fract_y
_atom_site_fract_z
O1 0.814 0.697 0.625
O2 0.273 0.551 0.652
O3 0.700 0.700 0.381
O4 0.211 0.962 0.116
O5 0.541 0.990 0.607
O6 0.303 0.186 0.375
O7 0.449 0.727 0.348
O8 0.727 0.449 0.348
O9 0.872 0.453 0.104
O10 0.128 0.547 0.896
O11 0.038 0.789 0.884
O12 0.383 0.274 0.872
O13 0.962 0.211 0.116
O14 0.789 0.038 0.884
O15 0.300 0.300 0.619
O16 0.274 0.383 0.872
O17 0.186 0.303 0.375
O18 0.990 0.541 0.607
O19 0.617 0.726 0.128
O20 0.459 0.010 0.393
O21 0.453 0.872 0.104
O22 0.697 0.814 0.625
O23 0.726 0.617 0.128
O24 0.010 0.459 0.393
O25 0.930 0.930 0.857
O26 0.070 0.070 0.143
O27 0.547 0.128 0.896
O28 0.551 0.273 0.652
Ti1 0.708 0.292 0.500
Ti2 0.253 0.375 0.142
Ti3 0.625 0.747 0.858
Ti4 0.000 0.000 0.500
Ti5 0.375 0.253 0.142
Ti6 0.881 0.612 0.139
Ti7 0.612 0.881 0.139
Ti8 0.426 0.574 0.500
Ti9 0.574 0.426 0.500
Ti10 0.747 0.625 0.858
Ti11 0.119 0.388 0.861
Ti12 0.388 0.119 0.861
Ti13 0.292 0.708 0.500
Si1 0.780 0.780 0.194
Si2 0.220 0.220 0.806
Sb1 0.852 0.148 0.500
Sb2 0.148 0.852 0.500
Y1 0.455 0.052 0.162
Y2 0.545 0.948 0.838
Y3 0.052 0.455 0.162
Y4 0.948 0.545 0.838
# **Polymorph energy (0 for the lowest one)**: 5.77 eV per formula unit
# **E_tot**: -8.34 eV per atom
# **ΔE_f**: -141.75 eV per formula unit
# **Spin magnetization**: 0.2449 μB per atom

***

Record 4
# Y4Ti13Si2Sb2O28 | the Materials Project database | PBE | relaxed
data_Y4Ti13Si2Sb2O28
_chemical_formula_sum 'Y4 Ti13 Si2 Sb2 O28'
_space_group_name_H-M_alt 'P 1'
_space_group_IT_number 1
_space_group_name_Hall 'P 1'
_cell_length_a 5.591
_cell_length_b 9.040
_cell_length_c 12.676
_cell_angle_alpha 88.35
_cell_angle_beta 78.70
_cell_angle_gamma 74.01
loop_
_atom_site_label
_atom_site_fract_x
_atom_site_fract_y
_atom_site_fract_z
Y1 0.558 0.304 0.412
Y2 0.986 0.320 0.578
Y3 0.016 0.677 0.424
Y4 0.444 0.694 0.589
O1 0.878 0.142 0.489
O2 0.777 0.370 0.247
O3 0.726 0.871 0.043
O4 0.276 0.349 0.103
O5 0.208 0.931 0.133
O6 0.413 0.384 0.896
O7 0.051 0.388 0.749
O8 0.486 0.849 0.295
O9 0.369 0.140 0.508
O10 0.120 0.413 0.410
O11 0.512 0.147 0.705
O12 0.460 0.584 0.417
O13 0.278 0.853 0.901
O14 0.905 0.371 0.986
O15 0.227 0.627 0.754
O16 0.633 0.857 0.493
O17 0.280 0.128 0.960
O18 0.695 0.838 0.713
O19 0.728 0.652 0.899
O20 0.122 0.856 0.512
O21 0.305 0.160 0.287
O22 0.788 0.064 0.867
O23 0.720 0.144 0.102
O24 0.541 0.413 0.585
O25 0.590 0.614 0.105
O26 0.099 0.627 0.016
O27 0.951 0.610 0.252
O28 0.882 0.585 0.591
Sb1 0.073 0.027 0.722
Sb2 0.924 0.970 0.278
Ti1 0.381 0.633 0.876
Ti2 0.279 0.996 0.417
Ti3 0.821 0.291 0.840
Ti4 0.999 0.004 0.996
Ti5 0.576 0.621 0.274
Ti6 0.623 0.364 0.125
Ti7 0.128 0.377 0.262
Ti8 0.513 0.999 0.177
Ti9 0.425 0.376 0.728
Ti10 0.183 0.706 0.162
Ti11 0.480 0.998 0.824
Ti12 0.721 0.002 0.583
Ti13 0.874 0.621 0.739
Si1 0.212 0.313 0.987
Si2 0.792 0.686 0.015
# **Polymorph energy (0 for the lowest one)**: 0.00 eV per formula unit
# **E_tot**: -8.46 eV per atom
# **ΔE_f**: -147.52 eV per formula unit
# **Spin magnetization**: 0.1225 μB per atom

***

Question: Look up the ΔE_f of the fourth one.
Answer: -147.52 eV per formula unit